Model one:
# Li7V3P8O29 (GGA+U, relaxed)
data_Li7V3P8O29
_space_group_name_H-M_alt 'P 1'
_space_group_IT_number 1
_cell_length_a 9.844
_cell_length_b 9.871
_cell_length_c 13.959
_cell_angle_alpha 89.18
_cell_angle_beta 89.22
_cell_angle_gamma 60.23
loop_
_space_group_symop_operation_xyz
'x,y,z'
loop_
_atom_site_label
_atom_site_type_symbol
_atom_site_fract_x
_atom_site_fract_y
_atom_site_fract_z
_atom_site_occupancy
Li1 Li 0.000 0.000 0.000 1
Li2 Li 0.002 0.000 0.498 1
Li3 Li 0.092 0.640 0.823 1
Li4 Li 0.234 0.645 0.324 1
Li5 Li 0.240 0.312 0.362 1
Li6 Li 0.317 0.231 0.864 1
Li7 Li 0.418 0.548 0.941 1
Li8 Li 0.432 0.987 0.451 1
Li9 Li 0.555 0.416 0.445 1
Li10 Li 0.572 0.972 0.946 1
Li11 Li 0.641 0.090 0.323 1
Li12 Li 0.645 0.231 0.822 1
Li13 Li 0.983 0.564 0.447 1
Li14 Li 0.997 0.424 0.954 1
V1 V 0.323 0.889 0.640 1
V2 V 0.328 0.759 0.139 1
V3 V 0.763 0.887 0.139 1
V4 V 0.764 0.321 0.638 1
V5 V 0.891 0.756 0.638 1
V6 V 0.894 0.319 0.140 1
P1 P 0.012 0.406 0.736 1
P2 P 0.013 0.549 0.228 1
P3 P 0.099 0.648 0.044 1
P4 P 0.108 0.235 0.550 1
P5 P 0.234 0.644 0.542 1
P6 P 0.242 0.100 0.050 1
P7 P 0.410 0.008 0.236 1
P8 P 0.410 0.550 0.727 1
P9 P 0.552 0.407 0.227 1
P10 P 0.554 0.006 0.727 1
P11 P 0.648 0.229 0.042 1
P12 P 0.652 0.091 0.543 1
P13 P 0.658 0.659 0.516 1
P14 P 0.659 0.660 0.016 1
P15 P 0.993 0.981 0.759 1
P16 P 0.995 0.982 0.259 1
O1 O 0.001 0.969 0.867 1
O2 O 0.002 0.124 0.220 1
O3 O 0.002 0.828 0.718 1
O4 O 0.071 0.659 0.541 1
O5 O 0.078 0.242 0.042 1
O6 O 0.081 0.570 0.957 1
O7 O 0.099 0.336 0.829 1
O8 O 0.104 0.542 0.318 1
O9 O 0.110 0.340 0.471 1
O10 O 0.121 0.540 0.136 1
O11 O 0.128 0.303 0.650 1
O12 O 0.138 0.829 0.214 1
O13 O 0.138 0.986 0.713 1
O14 O 0.215 0.808 0.557 1
O15 O 0.227 0.950 0.059 1
O16 O 0.248 0.663 0.039 1
O17 O 0.253 0.069 0.545 1
O18 O 0.312 0.121 0.149 1
O19 O 0.317 0.555 0.816 1
O20 O 0.321 0.536 0.634 1
O21 O 0.328 0.565 0.453 1
O22 O 0.338 0.092 0.328 1
O23 O 0.349 0.093 0.970 1
O24 O 0.403 0.570 0.225 1
O25 O 0.407 0.854 0.225 1
O26 O 0.413 0.982 0.723 1
O27 O 0.419 0.701 0.714 1
O28 O 0.506 0.808 0.555 1
O29 O 0.512 0.659 0.067 1
O30 O 0.538 0.318 0.133 1
O31 O 0.542 0.100 0.816 1
O32 O 0.543 0.112 0.635 1
O33 O 0.547 0.318 0.316 1
O34 O 0.566 0.321 0.953 1
O35 O 0.571 0.403 0.727 1
O36 O 0.577 0.069 0.455 1
O37 O 0.577 0.984 0.226 1
O38 O 0.630 0.690 0.912 1
O39 O 0.655 0.512 0.553 1
O40 O 0.661 0.066 0.043 1
O41 O 0.665 0.239 0.538 1
O42 O 0.665 0.804 0.061 1
O43 O 0.674 0.668 0.410 1
O44 O 0.700 0.418 0.216 1
O45 O 0.711 0.854 0.722 1
O46 O 0.805 0.661 0.564 1
O47 O 0.808 0.509 0.045 1
O48 O 0.813 0.207 0.056 1
O49 O 0.818 0.948 0.561 1
O50 O 0.838 0.991 0.220 1
O51 O 0.841 0.126 0.724 1
O52 O 0.858 0.409 0.726 1
O53 O 0.859 0.705 0.219 1
O54 O 0.955 0.813 0.061 1
O55 O 0.961 0.218 0.554 1
O56 O 0.994 0.571 0.724 1
O57 O 0.995 0.407 0.224 1
O58 O 0.999 0.961 0.366 1
# V   12.5 Å³ per atom
# Density   2.576 g cm⁻³

=====

Model two:
# Li7V3P8O29 (GGA+U, relaxed)
data_Li7V3P8O29
_space_group_name_H-M_alt 'P 1'
_space_group_IT_number 1
_cell_length_a 9.847
_cell_length_b 9.848
_cell_length_c 13.923
_cell_angle_alpha 90.05
_cell_angle_beta 90.16
_cell_angle_gamma 119.96
loop_
_space_group_symop_operation_xyz
'x,y,z'
loop_
_atom_site_label
_atom_site_type_symbol
_atom_site_fract_x
_atom_site_fract_y
_atom_site_fract_z
_atom_site_occupancy
Li1 Li 0.000 0.000 0.000 1
Li2 Li 0.000 0.423 0.497 1
Li3 Li 0.093 0.332 0.123 1
Li4 Li 0.093 0.763 0.675 1
Li5 Li 0.436 0.004 0.499 1
Li6 Li 0.436 0.434 0.947 1
Li7 Li 0.529 0.187 0.125 1
Li8 Li 0.530 0.765 0.622 1
Li9 Li 0.667 0.332 0.622 1
Li10 Li 0.671 0.772 0.126 1
Li11 Li 0.705 0.060 0.055 1
Li12 Li 0.824 0.119 0.567 1
Li13 Li 0.858 0.866 0.496 1
Li14 Li 0.862 0.430 0.000 1
V1 V 0.201 0.103 0.808 1
V2 V 0.202 0.535 0.312 1
V3 V 0.328 0.098 0.310 1
V4 V 0.328 0.666 0.814 1
V5 V 0.765 0.535 0.812 1
V6 V 0.765 0.663 0.311 1
P1 P 0.073 0.185 0.401 1
P2 P 0.079 0.325 0.901 1
P3 P 0.100 0.770 0.933 1
P4 P 0.101 0.766 0.433 1
P5 P 0.429 0.430 0.189 1
P6 P 0.429 0.434 0.689 1
P7 P 0.450 0.010 0.721 1
P8 P 0.456 0.876 0.221 1
P9 P 0.535 0.786 0.407 1
P10 P 0.540 0.188 0.908 1
P11 P 0.672 0.783 0.904 1
P12 P 0.677 0.322 0.403 1
P13 P 0.852 0.410 0.219 1
P14 P 0.858 0.875 0.718 1
P15 P 0.990 0.413 0.714 1
P16 P 0.994 0.016 0.215 1
O1 O 0.004 0.103 0.123 1
O2 O 0.021 0.021 0.721 1
O3 O 0.022 0.436 0.224 1
O4 O 0.088 0.610 0.393 1
O5 O 0.097 0.178 0.903 1
O6 O 0.101 0.918 0.887 1
O7 O 0.105 0.356 0.403 1
O8 O 0.111 0.764 0.542 1
O9 O 0.112 0.785 0.039 1
O10 O 0.139 0.576 0.727 1
O11 O 0.148 0.011 0.234 1
O12 O 0.224 0.177 0.395 1
O13 O 0.240 0.761 0.883 1
O14 O 0.244 0.472 0.891 1
O15 O 0.254 0.908 0.393 1
O16 O 0.275 0.419 0.229 1
O17 O 0.285 0.992 0.731 1
O18 O 0.289 0.285 0.739 1
O19 O 0.306 0.717 0.227 1
O20 O 0.382 0.628 0.388 1
O21 O 0.391 0.202 0.896 1
O22 O 0.416 0.437 0.583 1
O23 O 0.419 0.418 0.080 1
O24 O 0.424 0.015 0.219 1
O25 O 0.428 0.582 0.735 1
O26 O 0.433 0.846 0.719 1
O27 O 0.441 0.286 0.229 1
O28 O 0.507 0.179 0.399 1
O29 O 0.509 0.764 0.901 1
O30 O 0.525 0.864 0.499 1
O31 O 0.536 0.103 0.633 1
O32 O 0.542 0.103 0.997 1
O33 O 0.551 0.095 0.815 1
O34 O 0.552 0.901 0.321 1
O35 O 0.567 0.893 0.141 1
O36 O 0.575 0.585 0.222 1
O37 O 0.579 0.434 0.724 1
O38 O 0.656 0.618 0.896 1
O39 O 0.676 0.475 0.395 1
O40 O 0.677 0.764 0.405 1
O41 O 0.686 0.352 0.905 1
O42 O 0.760 0.309 0.492 1
O43 O 0.763 0.875 0.992 1
O44 O 0.765 0.301 0.311 1
O45 O 0.765 0.883 0.811 1
O46 O 0.766 0.878 0.630 1
O47 O 0.770 0.314 0.130 1
O48 O 0.844 0.432 0.718 1
O49 O 0.852 0.852 0.217 1
O50 O 0.853 0.563 0.227 1
O51 O 0.874 0.728 0.724 1
O52 O 0.950 0.619 0.899 1
O53 O 0.955 0.775 0.400 1
O54 O 0.963 0.092 0.481 1
O55 O 0.977 0.113 0.302 1
O56 O 0.979 0.309 0.807 1
O57 O 0.986 0.325 0.625 1
O58 O 0.993 0.332 0.989 1
# V   12.4 Å³ per atom
# Density   2.593 g cm⁻³

=====

Most favorable first, least favorable last: model one, model two

=====

Model one:
# Li7V3P8O29 (GGA+U, relaxed)
data_Li7V3P8O29
_space_group_name_H-M_alt 'P 1'
_space_group_IT_number 1
_cell_length_a 9.816
_cell_length_b 9.862
_cell_length_c 13.949
_cell_angle_alpha 89.67
_cell_angle_beta 89.80
_cell_angle_gamma 60.40
loop_
_space_group_symop_operation_xyz
'x,y,z'
loop_
_atom_site_label
_atom_site_type_symbol
_atom_site_fract_x
_atom_site_fract_y
_atom_site_fract_z
_atom_site_occupancy
Li1 Li 0.000 0.000 0.000 1
Li2 Li 0.000 0.438 0.553 1
Li3 Li 0.019 0.565 0.053 1
Li4 Li 0.021 0.978 0.501 1
Li5 Li 0.351 0.325 0.727 1
Li6 Li 0.358 0.759 0.177 1
Li7 Li 0.444 0.002 0.051 1
Li8 Li 0.447 0.577 0.551 1
Li9 Li 0.582 0.434 0.052 1
Li10 Li 0.585 0.001 0.549 1
Li11 Li 0.665 0.720 0.616 1
Li12 Li 0.698 0.714 0.121 1
Li13 Li 0.770 0.344 0.677 1
Li14 Li 0.914 0.344 0.175 1
V1 V 0.113 0.668 0.858 1
V2 V 0.120 0.228 0.365 1
V3 V 0.244 0.099 0.861 1
V4 V 0.244 0.664 0.362 1
V5 V 0.677 0.229 0.865 1
V6 V 0.683 0.099 0.359 1
P1 P 0.013 0.005 0.240 1
P2 P 0.014 0.001 0.740 1
P3 P 0.337 0.337 0.985 1
P4 P 0.352 0.327 0.486 1
P5 P 0.363 0.755 0.955 1
P6 P 0.371 0.888 0.454 1
P7 P 0.452 0.982 0.269 1
P8 P 0.454 0.577 0.768 1
P9 P 0.587 0.983 0.766 1
P10 P 0.595 0.438 0.271 1
P11 P 0.768 0.885 0.951 1
P12 P 0.771 0.347 0.456 1
P13 P 0.896 0.754 0.452 1
P14 P 0.908 0.347 0.957 1
P15 P 0.991 0.578 0.268 1
P16 P 0.998 0.438 0.771 1
O1 O 0.010 0.154 0.285 1
O2 O 0.012 0.412 0.279 1
O3 O 0.017 0.582 0.771 1
O4 O 0.021 0.850 0.786 1
O5 O 0.026 0.992 0.633 1
O6 O 0.046 0.767 0.446 1
O7 O 0.053 0.183 0.944 1
O8 O 0.145 0.578 0.278 1
O9 O 0.157 0.007 0.787 1
O10 O 0.162 0.291 0.782 1
O11 O 0.164 0.858 0.272 1
O12 O 0.193 0.486 0.938 1
O13 O 0.198 0.770 0.945 1
O14 O 0.200 0.328 0.445 1
O15 O 0.207 0.037 0.444 1
O16 O 0.298 0.136 0.282 1
O17 O 0.306 0.559 0.780 1
O18 O 0.317 0.342 0.091 1
O19 O 0.340 0.187 0.942 1
O20 O 0.341 0.748 0.457 1
O21 O 0.345 0.920 0.956 1
O22 O 0.350 0.313 0.593 1
O23 O 0.351 0.476 0.453 1
O24 O 0.424 0.000 0.779 1
O25 O 0.433 0.584 0.271 1
O26 O 0.450 0.664 0.043 1
O27 O 0.455 0.661 0.678 1
O28 O 0.455 0.897 0.177 1
O29 O 0.463 0.671 0.861 1
O30 O 0.465 0.867 0.355 1
O31 O 0.472 0.887 0.534 1
O32 O 0.488 0.338 0.951 1
O33 O 0.500 0.180 0.445 1
O34 O 0.570 0.147 0.778 1
O35 O 0.583 0.289 0.285 1
O36 O 0.593 0.007 0.274 1
O37 O 0.600 0.415 0.774 1
O38 O 0.663 0.902 0.674 1
O39 O 0.668 0.877 0.031 1
O40 O 0.678 0.432 0.545 1
O41 O 0.686 0.431 0.182 1
O42 O 0.686 0.453 0.363 1
O43 O 0.694 0.872 0.852 1
O44 O 0.755 0.922 0.453 1
O45 O 0.760 0.332 0.959 1
O46 O 0.783 0.033 0.948 1
O47 O 0.785 0.185 0.444 1
O48 O 0.864 0.147 0.775 1
O49 O 0.867 0.004 0.287 1
O50 O 0.877 0.680 0.354 1
O51 O 0.885 0.659 0.534 1
O52 O 0.893 0.449 0.863 1
O53 O 0.904 0.648 0.175 1
O54 O 0.912 0.432 0.682 1
O55 O 0.919 0.432 0.044 1
O56 O 0.934 0.741 0.954 1
O57 O 0.937 0.326 0.459 1
O58 O 0.999 0.025 0.133 1
# V   12.5 Å³ per atom
# Density   2.583 g cm⁻³

=====

Model two:
# Li7V3P8O29 (GGA+U, relaxed)
data_Li7V3P8O29
_space_group_name_H-M_alt 'P 1'
_space_group_IT_number 1
_cell_length_a 9.851
_cell_length_b 9.868
_cell_length_c 13.911
_cell_angle_alpha 89.62
_cell_angle_beta 89.84
_cell_angle_gamma 60.11
loop_
_space_group_symop_operation_xyz
'x,y,z'
loop_
_atom_site_label
_atom_site_type_symbol
_atom_site_fract_x
_atom_site_fract_y
_atom_site_fract_z
_atom_site_occupancy
Li1 Li 0.000 0.000 0.000 1
Li2 Li 0.000 0.589 0.498 1
Li3 Li 0.130 0.450 0.004 1
Li4 Li 0.314 0.905 0.877 1
Li5 Li 0.320 0.355 0.373 1
Li6 Li 0.450 0.768 0.375 1
Li7 Li 0.452 0.364 0.880 1
Li8 Li 0.539 0.455 0.497 1
Li9 Li 0.551 0.581 0.004 1
Li10 Li 0.557 0.008 0.058 1
Li11 Li 0.557 0.009 0.555 1
Li12 Li 0.901 0.338 0.321 1
Li13 Li 0.913 0.763 0.879 1
Li14 Li 0.921 0.898 0.376 1
V1 V 0.221 0.112 0.684 1
V2 V 0.226 0.244 0.189 1
V3 V 0.656 0.677 0.189 1
V4 V 0.661 0.243 0.689 1
V5 V 0.794 0.677 0.692 1
V6 V 0.796 0.109 0.189 1
P1 P 0.138 0.995 0.281 1
P2 P 0.140 0.441 0.782 1
P3 P 0.315 0.911 0.093 1
P4 P 0.317 0.357 0.597 1
P5 P 0.457 0.770 0.596 1
P6 P 0.460 0.354 0.095 1
P7 P 0.545 0.589 0.780 1
P8 P 0.549 0.442 0.282 1
P9 P 0.557 0.011 0.812 1
P10 P 0.561 0.012 0.316 1
P11 P 0.889 0.345 0.062 1
P12 P 0.892 0.347 0.565 1
P13 P 0.903 0.769 0.096 1
P14 P 0.903 0.908 0.596 1
P15 P 0.993 0.586 0.282 1
P16 P 0.994 0.996 0.780 1
O1 O 0.005 0.678 0.189 1
O2 O 0.011 0.889 0.688 1
O3 O 0.036 0.348 0.101 1
O4 O 0.040 0.199 0.609 1
O5 O 0.110 0.163 0.269 1
O6 O 0.129 0.294 0.765 1
O7 O 0.142 0.010 0.778 1
O8 O 0.146 0.429 0.283 1
O9 O 0.216 0.902 0.182 1
O10 O 0.222 0.929 0.003 1
O11 O 0.226 0.434 0.507 1
O12 O 0.228 0.435 0.871 1
O13 O 0.228 0.463 0.688 1
O14 O 0.236 0.904 0.364 1
O15 O 0.308 0.347 0.093 1
O16 O 0.311 0.932 0.598 1
O17 O 0.342 0.190 0.613 1
O18 O 0.346 0.048 0.110 1
O19 O 0.410 0.008 0.771 1
O20 O 0.415 0.164 0.279 1
O21 O 0.439 0.678 0.688 1
O22 O 0.445 0.457 0.189 1
O23 O 0.470 0.678 0.870 1
O24 O 0.472 0.423 0.371 1
O25 O 0.472 0.757 0.094 1
O26 O 0.473 0.676 0.508 1
O27 O 0.478 0.432 0.007 1
O28 O 0.480 0.345 0.598 1
O29 O 0.555 0.012 0.920 1
O30 O 0.555 0.163 0.773 1
O31 O 0.555 0.594 0.284 1
O32 O 0.559 0.864 0.280 1
O33 O 0.561 0.426 0.779 1
O34 O 0.573 0.013 0.424 1
O35 O 0.601 0.187 0.111 1
O36 O 0.601 0.791 0.614 1
O37 O 0.706 0.579 0.761 1
O38 O 0.712 0.012 0.272 1
O39 O 0.712 0.863 0.776 1
O40 O 0.716 0.301 0.267 1
O41 O 0.735 0.797 0.109 1
O42 O 0.737 0.049 0.616 1
O43 O 0.737 0.490 0.100 1
O44 O 0.742 0.345 0.603 1
O45 O 0.844 0.155 0.762 1
O46 O 0.854 0.557 0.267 1
O47 O 0.888 0.757 0.602 1
O48 O 0.890 0.193 0.109 1
O49 O 0.891 0.328 0.955 1
O50 O 0.894 0.346 0.458 1
O51 O 0.895 0.493 0.604 1
O52 O 0.898 0.928 0.095 1
O53 O 0.975 0.006 0.281 1
O54 O 0.975 0.681 0.371 1
O55 O 0.976 0.592 0.780 1
O56 O 0.976 0.917 0.505 1
O57 O 0.982 0.918 0.870 1
O58 O 0.983 0.675 0.007 1
# V   12.5 Å³ per atom
# Density   2.587 g cm⁻³

=====

Most favorable first, least favorable last: model two, model one